Entry 1:
VASP calculation (PBE) on Rb3Cr20Se32 after structural relaxation.

a = 10.9652 Å, b = 11.5762 Å, c = 11.7316 Å
α = 111.15°, β = 81.58°, γ = 117.30°
Last column: nearest neighbours and their distance in Å.
Fractional positions:
Rb 0.2318 0.7317 0.7319  8 Se 3.45-3.78
Rb 0.5000 0.0000 0.0000  10 Se 3.57-3.77, 2 Rb 3.93
Rb 0.7682 0.2683 0.2681  8 Se 3.45-3.78
Cr 0.7937 0.6093 0.1293  6 Se 2.47-2.67
Cr 0.0429 0.8589 0.3786  6 Se 2.46-2.66
Cr 0.2921 0.1073 0.6272  6 Se 2.47-2.67
Cr 0.5432 0.3585 0.8781  6 Se 2.49-2.66
Cr 0.9571 0.1411 0.6214  6 Se 2.46-2.66
Cr 0.2063 0.3907 0.8707  6 Se 2.47-2.67
Cr 0.4568 0.6415 0.1219  6 Se 2.49-2.66
Cr 0.7079 0.8927 0.3728  6 Se 2.47-2.67
Cr 0.3742 0.8745 0.3758  6 Se 2.52-2.55
Cr 0.6258 0.1255 0.6242  6 Se 2.52-2.55
Cr 0.8756 0.3753 0.8743  6 Se 2.53-2.55
Cr 0.1244 0.6247 0.1257  6 Se 2.53-2.55
Cr 0.4125 0.3224 0.4862  6 Se 2.48-2.66
Cr 0.6625 0.5711 0.7356  6 Se 2.49-2.65
Cr 0.9112 0.8207 0.9852  6 Se 2.49-2.66
Cr 0.1617 0.0710 0.2358  6 Se 2.48-2.65
Cr 0.3375 0.4289 0.2644  6 Se 2.49-2.65
Cr 0.5875 0.6776 0.5138  6 Se 2.48-2.66
Cr 0.8383 0.9290 0.7642  6 Se 2.48-2.65
Cr 0.0888 0.1793 0.0148  6 Se 2.49-2.66
Se 0.3439 0.5005 0.4917  3 Cr 2.48-2.49
Se 0.5938 0.7508 0.7418  3 Cr 2.49-2.50
Se 0.8443 0.0015 0.9923  3 Cr 2.49-2.50
Se 0.0945 0.2506 0.2420  3 Cr 2.48-2.49
Se 0.4062 0.2492 0.2582  3 Cr 2.49-2.50
Se 0.6561 0.4995 0.5083  3 Cr 2.48-2.49
Se 0.9055 0.7494 0.7580  3 Cr 2.48-2.49
Se 0.1557 0.9985 0.0077  3 Cr 2.49-2.50
Se 0.0684 0.3928 0.7234  3 Cr 2.46-2.53
Se 0.3186 0.6443 0.9736  3 Cr 2.48-2.55
Se 0.5701 0.8957 0.2249  3 Cr 2.48-2.55
Se 0.8205 0.1449 0.4754  3 Cr 2.46-2.53
Se 0.6814 0.3557 0.0264  3 Cr 2.48-2.55
Se 0.9316 0.6072 0.2766  3 Cr 2.46-2.53
Se 0.1795 0.8551 0.5246  3 Cr 2.46-2.53
Se 0.4299 0.1043 0.7751  3 Cr 2.48-2.55
Se 0.2655 0.6161 0.2718  4 Cr 2.51-2.60
Se 0.5155 0.8664 0.5219  4 Cr 2.51-2.61
Se 0.7656 0.1163 0.7718  4 Cr 2.52-2.60
Se 0.0159 0.3663 0.0216  4 Cr 2.51-2.60
Se 0.4845 0.1336 0.4781  4 Cr 2.51-2.61
Se 0.7345 0.3839 0.7282  4 Cr 2.51-2.60
Se 0.9841 0.6337 0.9784  4 Cr 2.51-2.60
Se 0.2344 0.8837 0.2282  4 Cr 2.52-2.60
Se 0.5953 0.6181 0.2738  5 Cr 2.57-2.67
Se 0.8455 0.8675 0.5238  5 Cr 2.57-2.66
Se 0.0956 0.1176 0.7736  5 Cr 2.57-2.66
Se 0.3457 0.3683 0.0241  5 Cr 2.58-2.67
Se 0.1545 0.1325 0.4762  5 Cr 2.57-2.66
Se 0.4047 0.3819 0.7262  5 Cr 2.57-2.67
Se 0.6543 0.6317 0.9759  5 Cr 2.58-2.67
Se 0.9044 0.8824 0.2264  5 Cr 2.57-2.66

Properties
**ρ**: 5.15 g/cm³
**Size of the total moment**: 1.073 μB per atom
**ΔE_f**: -0.902 eV/atom
**Total energy after the MP2020 corrections**: -6.500 eV/atom
**Space group**: P-1

Entry 2:
VASP calculation (PBE) on Hf14Cu51 after structural relaxation.

a = 11.1181 Å, b = 11.1181 Å, c = 8.2796 Å
α = 90.00°, β = 90.00°, γ = 120.00°
Last column: nearest neighbours and their distance in Å.
Fractional positions:
Hf 0.0000 0.0000 0.3130  15 Cu 2.68-2.94
Hf 0.0000 0.0000 0.6870  15 Cu 2.68-2.94
Hf 0.3851 0.2709 0.0000  14 Cu 2.78-2.88
Hf 0.7291 0.1142 0.0000  14 Cu 2.78-2.88
Hf 0.8858 0.6149 0.0000  14 Cu 2.78-2.88
Hf 0.6076 0.7231 0.0000  14 Cu 2.67-2.97
Hf 0.2769 0.8844 0.0000  14 Cu 2.67-2.97
Hf 0.1156 0.3924 0.0000  14 Cu 2.67-2.97
Hf 0.1420 0.6721 0.5000  14 Cu 2.72-3.02
Hf 0.3279 0.4699 0.5000  14 Cu 2.72-3.02
Hf 0.5301 0.8580 0.5000  14 Cu 2.72-3.02
Hf 0.8562 0.3291 0.5000  14 Cu 2.73-2.92
Hf 0.6709 0.5271 0.5000  14 Cu 2.73-2.92
Hf 0.4729 0.1438 0.5000  14 Cu 2.73-2.92
Cu 0.2389 0.1811 0.5000  8 Cu 2.39-2.56
Cu 0.8189 0.0578 0.5000  8 Cu 2.39-2.56
Cu 0.9422 0.7611 0.5000  8 Cu 2.39-2.56
Cu 0.7600 0.8196 0.5000  8 Cu 2.39-2.59
Cu 0.1804 0.9404 0.5000  8 Cu 2.39-2.59
Cu 0.0596 0.2400 0.5000  8 Cu 2.39-2.59
Cu 0.2711 0.0761 0.2463  8 Cu 2.44-2.65
Cu 0.9239 0.1949 0.2463  8 Cu 2.44-2.65
Cu 0.8051 0.7289 0.2463  8 Cu 2.44-2.65
Cu 0.7391 0.9272 0.2316  7 Cu 2.47-2.70, 2 Hf 2.68-2.76
Cu 0.0728 0.8120 0.2316  7 Cu 2.47-2.70, 2 Hf 2.68-2.76
Cu 0.1880 0.2609 0.2316  7 Cu 2.47-2.70, 2 Hf 2.68-2.76
Cu 0.7391 0.9272 0.7684  7 Cu 2.47-2.70, 2 Hf 2.68-2.76
Cu 0.0728 0.8120 0.7684  7 Cu 2.47-2.70, 2 Hf 2.68-2.76
Cu 0.1880 0.2609 0.7684  7 Cu 2.47-2.70, 2 Hf 2.68-2.76
Cu 0.2711 0.0761 0.7537  8 Cu 2.44-2.65
Cu 0.9239 0.1949 0.7537  8 Cu 2.44-2.65
Cu 0.8051 0.7289 0.7537  8 Cu 2.44-2.65
Cu 0.3333 0.6667 0.0000  8 Cu 2.44-2.55
Cu 0.6667 0.3333 0.0000  8 Cu 2.44-2.54
Cu 0.4371 0.3335 0.3296  6 Cu 2.45-2.63, 1 Hf 2.73
Cu 0.6665 0.1036 0.3296  6 Cu 2.45-2.63, 1 Hf 2.73
Cu 0.8964 0.5629 0.3296  6 Cu 2.45-2.63, 1 Hf 2.73
Cu 0.5608 0.6652 0.3301  6 Cu 2.46-2.70, 1 Hf 2.72
Cu 0.3348 0.8956 0.3301  6 Cu 2.46-2.70, 1 Hf 2.72
Cu 0.1044 0.4392 0.3301  6 Cu 2.46-2.70, 1 Hf 2.72
Cu 0.5608 0.6652 0.6699  6 Cu 2.46-2.70, 1 Hf 2.72
Cu 0.3348 0.8956 0.6699  6 Cu 2.46-2.70, 1 Hf 2.72
Cu 0.1044 0.4392 0.6699  6 Cu 2.46-2.70, 1 Hf 2.72
Cu 0.4371 0.3335 0.6704  6 Cu 2.45-2.63, 1 Hf 2.73
Cu 0.6665 0.1036 0.6704  6 Cu 2.45-2.63, 1 Hf 2.73
Cu 0.8964 0.5629 0.6704  6 Cu 2.45-2.63, 1 Hf 2.73
Cu 0.3333 0.6667 0.2948  7 Cu 2.44-2.55
Cu 0.6667 0.3333 0.2946  7 Cu 2.44-2.57, 3 Hf 2.73
Cu 0.6667 0.3333 0.7054  7 Cu 2.44-2.57, 3 Hf 2.73
Cu 0.3333 0.6667 0.7052  7 Cu 2.44-2.55
Cu 0.1150 0.6218 0.1521  7 Cu 2.46-2.63
Cu 0.3782 0.4932 0.1521  7 Cu 2.46-2.63
Cu 0.5068 0.8850 0.1521  7 Cu 2.46-2.63
Cu 0.8842 0.3807 0.1521  7 Cu 2.44-2.64
Cu 0.6193 0.5035 0.1521  7 Cu 2.44-2.64
Cu 0.4965 0.1158 0.1521  7 Cu 2.44-2.64
Cu 0.8842 0.3807 0.8479  7 Cu 2.44-2.64
Cu 0.6193 0.5035 0.8479  7 Cu 2.44-2.64
Cu 0.4965 0.1158 0.8479  7 Cu 2.44-2.64
Cu 0.1150 0.6218 0.8479  7 Cu 2.46-2.63
Cu 0.3782 0.4932 0.8479  7 Cu 2.46-2.63
Cu 0.5068 0.8850 0.8479  7 Cu 2.46-2.63
Cu 0.1334 0.0186 0.0000  4 Cu 2.41-2.44, 1 Hf 2.67
Cu 0.9814 0.1148 0.0000  4 Cu 2.41-2.44, 1 Hf 2.67
Cu 0.8852 0.8666 0.0000  4 Cu 2.41-2.44, 1 Hf 2.67

Properties
**ρ**: 10.75 g/cm³
**Size of the total moment**: 0.006 μB per atom
**ΔE_f**: -0.156 eV/atom
**Space group**: P-6